No. 1
The following is a PBE calculation of a relaxed KPH3O4F crystal, from the Materials Project database.

POSCAR file:
```
KPH3O4F
1.0
6.2230 0.0000 0.0000
0.0000 12.2723 0.0000
-2.8934 0.0000 6.4309
K P H O F
4 4 12 16 4
Direct
0.1475 0.1323 0.3829
0.1475 0.3677 0.8829
0.8525 0.6323 0.1171
0.8525 0.8677 0.6171
0.3463 0.6390 0.5928
0.3463 0.8610 0.0928
0.6537 0.1390 0.9072
0.6537 0.3610 0.4072
0.0337 0.6150 0.7148
0.0337 0.8850 0.2148
0.4468 0.7080 0.2790
0.4468 0.7920 0.7790
0.4695 0.5199 0.3119
0.4695 0.9801 0.8119
0.5305 0.0199 0.1881
0.5305 0.4801 0.6881
0.5532 0.2080 0.2210
0.5532 0.2920 0.7210
0.9663 0.1150 0.7852
0.9663 0.3850 0.2852
0.0970 0.6630 0.5734
0.0970 0.8370 0.0734
0.3637 0.6203 0.3851
0.3637 0.8797 0.8851
0.4449 0.5359 0.7396
0.4449 0.9641 0.2396
0.4840 0.2377 0.7932
0.4840 0.2623 0.2932
0.5160 0.7377 0.7068
0.5160 0.7623 0.2068
0.5551 0.0359 0.7604
0.5551 0.4641 0.2604
0.6363 0.1203 0.1149
0.6363 0.3797 0.6149
0.9030 0.1630 0.9266
0.9030 0.3370 0.4266
0.0119 0.0775 0.6739
0.0119 0.4225 0.1739
0.9881 0.5775 0.8261
0.9881 0.9225 0.3261
```

Results
VASP energy ... -0.2080 Ha/atom
Space group ... P2_1/c
Calculated formation energy ... -2.140 eV/atom
Calculated volume ... 491.1 Å³ per cell
Energy above the most stable polymorph in this dataset ... 0.000 eV/atom


No. 2
The following is a PBE calculation of a relaxed KPH3O4F crystal, from the Materials Project database.

POSCAR file:
```
KPH3O4F
1.0
6.7352 0.0000 0.0000
0.0000 7.7174 0.0000
-1.8129 0.0000 9.4089
K P H O F
4 4 12 16 4
Direct
0.1591 0.2233 0.0429
0.1591 0.2767 0.5429
0.8409 0.7233 0.4571
0.8409 0.7767 0.9571
0.3827 0.7006 0.1716
0.3827 0.7994 0.6716
0.6173 0.2006 0.3284
0.6173 0.2994 0.8284
0.1124 0.5267 0.2398
0.1124 0.9733 0.7398
0.3701 0.6879 0.4613
0.3701 0.8121 0.9613
0.4070 0.5210 0.8346
0.4070 0.9790 0.3346
0.5930 0.0210 0.6654
0.5930 0.4790 0.1654
0.6299 0.1879 0.0387
0.6299 0.3121 0.5387
0.8876 0.0267 0.2602
0.8876 0.4733 0.7602
0.2063 0.5728 0.1368
0.2063 0.9272 0.6368
0.3570 0.6453 0.5600
0.3570 0.8547 0.0600
0.4070 0.7183 0.8194
0.4070 0.7817 0.3194
0.4117 0.1116 0.3476
0.4117 0.3884 0.8476
0.5883 0.6116 0.1524
0.5883 0.8884 0.6524
0.5930 0.2183 0.6806
0.5930 0.2817 0.1806
0.6430 0.1453 0.9400
0.6430 0.3547 0.4400
0.7937 0.0728 0.3632
0.7937 0.4272 0.8632
0.0351 0.0179 0.8198
0.0351 0.4821 0.3198
0.9649 0.5179 0.6802
0.9649 0.9821 0.1802
```

Results
VASP energy ... -0.2079 Ha/atom
Space group ... P2_1/c
Calculated formation energy ... -2.137 eV/atom
Calculated volume ... 489.1 Å³ per cell
Energy above the most stable polymorph in this dataset ... 0.002 eV/atom


No. 3
The following is a PBE calculation of a relaxed K3ZrH2SO5F5 crystal, from the Materials Project database.

POSCAR file:
```
K3ZrH2SO5F5
1.0
6.8672 0.0000 0.0000
0.0000 16.9799 0.0000
-6.6595 0.0000 8.9079
K Zr H S O F
12 4 8 4 20 20
Direct
0.0811 0.1178 0.4687
0.0811 0.3822 0.9687
0.2831 0.1673 0.1771
0.2831 0.3327 0.6771
0.4172 0.6150 0.5428
0.4172 0.8850 0.0428
0.5828 0.1150 0.9572
0.5828 0.3850 0.4572
0.7169 0.6673 0.3229
0.7169 0.8327 0.8229
0.9189 0.6178 0.0313
0.9189 0.8822 0.5313
0.2228 0.6926 0.8016
0.2228 0.8074 0.3016
0.7772 0.1926 0.6984
0.7772 0.3074 0.1984
0.3834 0.5597 0.0761
0.3834 0.9403 0.5761
0.4962 0.5032 0.7994
0.4962 0.9968 0.2994
0.5038 0.0032 0.7006
0.5038 0.4968 0.2006
0.6166 0.0597 0.4239
0.6166 0.4403 0.9239
0.0193 0.0390 0.8269
0.0193 0.4610 0.3269
0.9807 0.5390 0.6731
0.9807 0.9610 0.1731
0.0333 0.0920 0.7217
0.0333 0.4080 0.2217
0.0503 0.0418 0.2292
0.0503 0.4582 0.7292
0.1852 0.5796 0.6778
0.1852 0.9204 0.1778
0.2484 0.0424 0.9793
0.2484 0.4576 0.4793
0.3548 0.5283 0.1384
0.3548 0.9717 0.6384
0.6452 0.0283 0.3616
0.6452 0.4717 0.8616
0.7516 0.5424 0.5207
0.7516 0.9576 0.0207
0.8148 0.0796 0.8222
0.8148 0.4204 0.3222
0.9497 0.5418 0.2708
0.9497 0.9582 0.7708
0.9667 0.5920 0.7783
0.9667 0.9080 0.2783
0.0930 0.2228 0.9003
0.0930 0.2772 0.4003
0.1030 0.7389 0.9177
0.1030 0.7611 0.4177
0.3024 0.6902 0.3046
0.3024 0.8098 0.8046
0.4776 0.6410 0.0091
0.4776 0.8590 0.5091
0.4937 0.1897 0.7179
0.4937 0.3103 0.2179
0.5063 0.6897 0.7821
0.5063 0.8103 0.2821
0.5224 0.1410 0.4909
0.5224 0.3590 0.9909
0.6976 0.1902 0.1954
0.6976 0.3098 0.6954
0.8970 0.2389 0.5823
0.8970 0.2611 0.0823
0.9070 0.7228 0.5997
0.9070 0.7772 0.0997
```

Results
VASP energy ... -0.2117 Ha/atom
Space group ... P2_1/c
Calculated formation energy ... -2.738 eV/atom
Calculated volume ... 1038.7 Å³ per cell


No. 4
The following is a PBE calculation of a relaxed K3ZrHSO5F5 crystal, from the Materials Project database.

POSCAR file:
```
K3ZrHSO5F5
1.0
3.9808 -9.4735 0.0000
3.9808 9.4735 0.0000
0.0000 0.0000 13.3111
K Zr H S O F
12 4 4 4 20 20
Direct
0.0318 0.4682 0.8080
0.0762 0.9238 0.5000
0.1779 0.3301 0.2886
0.3301 0.1779 0.7886
0.4047 0.5953 0.5739
0.4682 0.0318 0.3080
0.5318 0.9682 0.8080
0.5953 0.4047 0.0739
0.6699 0.8221 0.2886
0.8221 0.6699 0.7886
0.9238 0.0762 0.0000
0.9682 0.5318 0.3080
0.1546 0.8454 0.9916
0.3407 0.6593 0.0839
0.6593 0.3407 0.5839
0.8454 0.1546 0.4916
0.1299 0.6738 0.6270
0.3262 0.8701 0.6270
0.6738 0.1299 0.1270
0.8701 0.3262 0.1270
0.0716 0.9284 0.1810
0.4287 0.5713 0.8991
0.5713 0.4287 0.3991
0.9284 0.0716 0.6810
0.0063 0.9937 0.6863
0.0515 0.2458 0.6196
0.1041 0.8959 0.2818
0.2243 0.7757 0.4712
0.2458 0.0515 0.1196
0.2507 0.4518 0.9577
0.2608 0.7392 0.6327
0.4009 0.5991 0.7958
0.4518 0.2507 0.4577
0.4936 0.5064 0.4018
0.5064 0.4936 0.9018
0.5482 0.7493 0.9577
0.5991 0.4009 0.2958
0.7392 0.2608 0.1327
0.7493 0.5482 0.4577
0.7542 0.9485 0.6196
0.7757 0.2243 0.9712
0.8959 0.1041 0.7818
0.9485 0.7542 0.1196
0.9937 0.0063 0.1863
0.0528 0.9472 0.9374
0.0737 0.4163 0.1158
0.0820 0.4176 0.4587
0.1675 0.8325 0.8320
0.2263 0.7737 0.1194
0.2714 0.7286 0.9527
0.3269 0.6731 0.2414
0.4163 0.0737 0.6158
0.4176 0.0820 0.9587
0.4418 0.5582 0.1383
0.5582 0.4418 0.6383
0.5824 0.9180 0.4587
0.5837 0.9263 0.1158
0.6731 0.3269 0.7414
0.7286 0.2714 0.4527
0.7737 0.2263 0.6194
0.8325 0.1675 0.3320
0.9180 0.5824 0.9587
0.9263 0.5837 0.6158
0.9472 0.0528 0.4374
```

Results
VASP energy ... -0.2103 Ha/atom
Space group ... Cmc2_1
Calculated formation energy ... -2.724 eV/atom
Calculated volume ... 1004.0 Å³ per cell


No. 5
The following is a PBE calculation of a relaxed K2SnH2OF6 crystal, from the Materials Project database.

POSCAR file:
```
K2SnH2OF6
1.0
0.0000 6.7761 8.9971
6.2322 0.0000 8.9971
6.2322 6.7761 0.0000
K Sn H O F
8 4 8 4 24
Direct
0.0887 0.6613 0.6613
0.2515 0.2515 0.4985
0.3387 0.9113 0.9113
0.4985 0.4985 0.2515
0.5015 0.5015 0.7485
0.6613 0.0887 0.0887
0.7485 0.7485 0.5015
0.9113 0.3387 0.3387
0.1563 0.5937 0.1563
0.4063 0.8437 0.4063
0.5937 0.1563 0.5937
0.8437 0.4063 0.8437
0.0053 0.8911 0.8608
0.1090 0.9947 0.2571
0.1392 0.2571 0.9947
0.2571 0.1392 0.1090
0.7429 0.8608 0.8910
0.8608 0.7429 0.0053
0.8911 0.0053 0.7429
0.9947 0.1090 0.1392
0.0197 0.0197 0.2303
0.2303 0.2303 0.0197
0.7697 0.7697 0.9803
0.9803 0.9803 0.7697
0.0338 0.4956 0.2972
0.0624 0.1892 0.8392
0.1608 0.5908 0.9376
0.1632 0.6041 0.3649
0.1892 0.0624 0.4092
0.2972 0.6734 0.0338
0.3266 0.7028 0.5044
0.3649 0.3678 0.1632
0.3678 0.3649 0.6041
0.3959 0.8368 0.6322
0.4092 0.8392 0.1892
0.4956 0.0338 0.6734
0.5044 0.9662 0.3266
0.5908 0.1608 0.8108
0.6041 0.1632 0.3678
0.6322 0.6351 0.3959
0.6351 0.6322 0.8368
0.6734 0.2972 0.4956
0.7028 0.3266 0.9662
0.8108 0.9376 0.5908
0.8368 0.3959 0.6351
0.8392 0.4092 0.0624
0.9376 0.8108 0.1608
0.9662 0.5044 0.7028
```

Results
VASP energy ... -0.1733 Ha/atom
Space group ... Fddd
Calculated formation energy ... -2.548 eV/atom
Calculated volume ... 759.9 Å³ per cell
Energy above the most stable polymorph in this dataset ... 0.010 eV/atom


No. 6
The following is a PBE calculation of a relaxed K2SnH2OF6 crystal, from the Materials Project database.

POSCAR file:
```
K2SnH2OF6
1.0
6.3066 -6.7959 0.0000
6.3066 6.7959 0.0000
-5.7094 0.0000 8.9488
K Sn H O F
8 4 8 4 24
Direct
0.0044 0.2553 0.0015
0.1468 0.4022 0.7334
0.2553 0.0044 0.5015
0.4022 0.1468 0.2334
0.5978 0.8532 0.7666
0.7447 0.9956 0.4985
0.8532 0.5978 0.2666
0.9956 0.7447 0.9985
0.0943 0.9057 0.7500
0.3472 0.6528 0.2500
0.6528 0.3472 0.7500
0.9057 0.0943 0.2500
0.2585 0.6239 0.5978
0.3728 0.5099 0.5946
0.3761 0.7415 0.9022
0.4901 0.6272 0.9054
0.5099 0.3728 0.0946
0.6239 0.2585 0.0978
0.6272 0.4901 0.4054
0.7415 0.3761 0.4022
0.2610 0.5119 0.5698
0.4881 0.7390 0.9302
0.5119 0.2610 0.0698
0.7390 0.4881 0.4302
0.0025 0.8346 0.5279
0.0980 0.6959 0.7641
0.1084 0.1311 0.7717
0.1311 0.1084 0.2717
0.1436 0.6645 0.2753
0.1654 0.9975 0.9721
0.2087 0.5298 0.0285
0.3041 0.9020 0.7359
0.3355 0.8564 0.2247
0.3521 0.4470 0.2701
0.4470 0.3521 0.7701
0.4702 0.7913 0.4715
0.5298 0.2087 0.5285
0.5530 0.6479 0.2299
0.6479 0.5530 0.7299
0.6645 0.1436 0.7753
0.6959 0.0980 0.2641
0.7913 0.4702 0.9715
0.8346 0.0025 0.0279
0.8564 0.3355 0.7247
0.8689 0.8916 0.7283
0.8916 0.8689 0.2283
0.9020 0.3041 0.2359
0.9975 0.1654 0.4721
```

Results
VASP energy ... -0.1736 Ha/atom
Space group ... C2/c
Calculated formation energy ... -2.558 eV/atom
Calculated volume ... 767.1 Å³ per cell
Energy above the most stable polymorph in this dataset ... 0.000 eV/atom


No. 7
The following is a PBE calculation of a relaxed K4Ti2H2O5F8 crystal, from the Materials Project database.

POSCAR file:
```
K4Ti2H2O5F8
1.0
8.6835 -3.3049 0.0000
8.6835 3.3049 0.0000
-6.0511 0.0000 11.0472
K Ti H O F
8 4 4 10 16
Direct
0.0437 0.5903 0.1712
0.1751 0.6852 0.8644
0.3148 0.8249 0.6356
0.4097 0.9563 0.3288
0.5903 0.0437 0.6712
0.6852 0.1751 0.3644
0.8249 0.3148 0.1356
0.9563 0.4097 0.8288
0.0007 0.6593 0.4681
0.3407 0.9993 0.0319
0.6593 0.0007 0.9681
0.9993 0.3407 0.5319
0.4042 0.5427 0.1799
0.4573 0.5958 0.3201
0.5427 0.4042 0.6799
0.5958 0.4573 0.8201
0.0768 0.7647 0.4238
0.2353 0.9232 0.0762
0.2594 0.5287 0.4278
0.3421 0.6579 0.2500
0.4713 0.7406 0.0722
0.5287 0.2594 0.9278
0.6579 0.3421 0.7500
0.7406 0.4713 0.5722
0.7647 0.0768 0.9238
0.9232 0.2353 0.5762
0.0323 0.2819 0.0220
0.0947 0.7184 0.6382
0.1264 0.4010 0.6938
0.1919 0.3460 0.4853
0.2819 0.0323 0.5220
0.2816 0.9053 0.8618
0.3460 0.1919 0.9853
0.4010 0.1264 0.1938
0.5990 0.8736 0.8062
0.6540 0.8081 0.0147
0.7184 0.0947 0.1382
0.7181 0.9677 0.4780
0.8081 0.6540 0.5147
0.8736 0.5990 0.3062
0.9053 0.2816 0.3618
0.9677 0.7181 0.9780
```

Results
VASP energy ... -0.2067 Ha/atom
Space group ... C2/c
Calculated formation energy ... -2.770 eV/atom
Calculated volume ... 634.1 Å³ per cell


Which of these has the highest VASP energy?
number 5


VASP energy of number 4 (K3ZrHSO5F5)?
-0.2103 Ha/atom


Number 3 is which compound?
K3ZrH2SO5F5


VASP energy of number 4 (K3ZrHSO5F5)?
-0.2103 Ha/atom